Density functional theory data (PBE) for Re4As5S4 after structural relaxation.

Cell lengths 10.0280, 10.0280, 10.0280 Å; angles 90.00, 90.00, 90.00 degrees
Last column: nearest neighbours and their distance in Å.
Space group F-43m (No. 216)
One atom of each set of equivalent atoms:
1 Re 0.0989 0.0989 0.0989 [16 per cell]  3 S 2.35
2 As 0.0000 0.0000 0.5000 [4 per cell]  4 As 2.51
3 As 0.1447 0.1447 0.3553 [16 per cell]  1 As 2.51, 3 Re 2.65
4 S 0.1309 0.1309 0.8691 [16 per cell]  3 Re 2.35

## Properties
Formation energy, eV per formula unit: -6.358
DFT total energy, eV/atom: -7.23
ρ, Mg/m³: 8.218